Zr2PbO6 | PBE | relaxed

Output
The final energy comes out at -0.2890 hartree per atom. The calculation puts the formation energy at -2.711 eV per atom. The calculated volume is 574 Å³/cell. As for the energy with MP2020 corrections: -299.6 eV per cell.

```
Zr2PbO6
1.0
6.037 0.000 0.000
0.000 8.470 0.000
0.000 0.000 11.226
Zr Pb O
8 4 24
Direct
0.233 0.268 0.126
0.233 0.732 0.126
0.265 0.776 0.619
0.265 0.224 0.619
0.733 0.268 0.374
0.733 0.732 0.374
0.765 0.224 0.881
0.765 0.776 0.881
0.128 0.000 0.363
0.376 0.500 0.868
0.628 0.000 0.137
0.876 0.500 0.632
0.024 0.266 0.261
0.024 0.734 0.261
0.220 0.500 0.595
0.262 0.000 0.668
0.264 0.000 0.187
0.262 0.500 0.052
0.449 0.294 0.773
0.449 0.706 0.773
0.509 0.209 0.500
0.513 0.177 0.012
0.509 0.791 0.500
0.513 0.823 0.012
0.524 0.266 0.239
0.524 0.734 0.239
0.720 0.500 0.905
0.762 0.000 0.832
0.764 0.000 0.313
0.762 0.500 0.448
0.949 0.294 0.727
0.949 0.706 0.727
0.013 0.177 0.488
0.009 0.209 0.000
0.009 0.791 0.000
0.013 0.823 0.488
```

---

Zr2Pb2O5 | PBE | relaxed

Output
The final energy comes out at -0.2823 hartree per atom. The calculation puts the formation energy at -2.589 eV per atom. The calculated volume is 627 Å³/cell. As for the energy with MP2020 corrections: -290.3 eV per cell.

```
Zr2Pb2O5
1.0
6.290 0.000 0.000
0.000 8.082 -0.028
0.000 -0.034 12.331
Zr Pb O
8 8 20
Direct
0.200 0.249 0.106
0.297 0.751 0.106
0.203 0.751 0.606
0.300 0.249 0.606
0.797 0.249 0.394
0.700 0.751 0.394
0.703 0.249 0.894
0.800 0.751 0.894
0.186 0.950 0.343
0.204 0.538 0.333
0.314 0.950 0.843
0.297 0.538 0.833
0.686 0.050 0.157
0.704 0.462 0.167
0.814 0.050 0.657
0.797 0.462 0.667
0.947 0.236 0.008
0.026 0.233 0.503
0.053 0.764 0.992
0.973 0.767 0.497
0.022 0.265 0.250
0.220 0.497 0.631
0.220 0.004 0.649
0.280 0.004 0.149
0.280 0.497 0.131
0.478 0.265 0.750
0.553 0.236 0.508
0.473 0.233 0.003
0.447 0.764 0.492
0.526 0.767 0.997
0.522 0.735 0.250
0.720 0.503 0.869
0.720 0.996 0.851
0.780 0.996 0.351
0.780 0.503 0.369
0.978 0.735 0.750
```

---

PdO2 | PBE | relaxed

Output
The final energy comes out at -0.1861 hartree per atom. The calculation puts the formation energy at -0.497 eV per atom. The calculated volume is 32 Å³/cell. As for the energy with MP2020 corrections: -16.6 eV per cell.

```
PdO2
1.0
0.000 2.513 2.513
2.513 0.000 2.513
2.513 2.513 0.000
Pd O
1 2
Direct
0.000 0.000 0.000
0.250 0.250 0.250
0.750 0.750 0.750
```

---

PdO | PBE | relaxed

Output
The final energy comes out at -0.2025 hartree per atom. The calculation puts the formation energy at -0.790 eV per atom. The calculated volume is 52 Å³/cell. As for the energy with MP2020 corrections: -23.4 eV per cell.

```
PdO
1.0
3.096 0.000 0.000
0.000 3.096 0.000
0.000 0.000 5.442
Pd O
2 2
Direct
0.000 0.500 0.500
0.500 0.000 0.000
0.000 0.000 0.750
0.000 0.000 0.250
```

---

PdO | PBE | relaxed

Output
The final energy comes out at -0.1860 hartree per atom. The calculation puts the formation energy at -0.341 eV per atom. The calculated volume is 24 Å³/cell. As for the energy with MP2020 corrections: -10.8 eV per cell.

```
PdO
1.0
-2.273 -2.273 0.000
-2.273 0.000 -2.273
0.000 -2.273 -2.273
Pd O
1 1
Direct
0.000 0.000 0.000
0.500 0.500 0.500
```

---

PdO | PBE | relaxed

Output
The final energy comes out at -0.1724 hartree per atom. The calculation puts the formation energy at 0.029 eV per atom. The calculated volume is 22 Å³/cell. As for the energy with MP2020 corrections: -10.1 eV per cell.

```
PdO
1.0
2.816 0.000 0.000
0.000 2.816 0.000
0.000 0.000 2.816
Pd O
1 1
Direct
0.500 0.500 0.500
0.000 0.000 0.000
```

---

PdO2 | PBE | relaxed

Output
The final energy comes out at -0.1946 hartree per atom. The calculation puts the formation energy at -0.728 eV per atom. The calculated volume is 68 Å³/cell. As for the energy with MP2020 corrections: -34.5 eV per cell.

```
PdO2
1.0
-2.573 -3.580 1.305
2.040 0.037 4.120
-2.245 2.012 1.093
Pd O
2 4
Direct
0.500 0.500 0.500
0.000 0.000 0.000
0.808 0.192 0.500
0.192 0.808 0.500
0.308 0.308 0.000
0.692 0.692 0.000
```

---

Pr2PdO4 | PBE | relaxed

Output
The final energy comes out at -0.2559 hartree per atom. The calculation puts the formation energy at -2.423 eV per atom. The calculated volume is 249 Å³/cell. As for the energy with MP2020 corrections: -103.0 eV per cell.

```
Pr2PdO4
1.0
-0.715 -5.839 3.952
6.582 0.871 2.478
-4.699 5.222 0.511
Pr Pd O
4 2 8
Direct
0.625 0.875 0.250
0.625 0.375 0.250
0.625 0.375 0.750
0.125 0.375 0.750
0.000 0.000 0.000
0.250 0.750 0.500
0.401 0.131 0.263
0.862 0.131 0.263
0.381 0.151 0.763
0.849 0.619 0.237
0.381 0.612 0.763
0.388 0.619 0.237
0.869 0.599 0.737
0.869 0.138 0.737
```

---

RbPdO3 | PBE | relaxed

Output
The final energy comes out at -0.1677 hartree per atom. The calculation puts the formation energy at -0.774 eV per atom. The calculated volume is 70 Å³/cell. As for the energy with MP2020 corrections: -24.9 eV per cell.

```
RbPdO3
1.0
4.128 0.000 0.000
0.000 4.128 0.000
0.000 0.000 4.128
Rb Pd O
1 1 3
Direct
0.500 0.500 0.500
0.000 0.000 0.000
0.000 0.000 0.500
0.000 0.500 0.000
0.500 0.000 0.000
```

---

PdS2O7 | PBE | relaxed

Output
The final energy comes out at -0.2123 hartree per atom. The calculation puts the formation energy at -1.450 eV per atom. The calculated volume is 552 Å³/cell. As for the energy with MP2020 corrections: -250.4 eV per cell.

```
PdS2O7
1.0
-0.358 -3.706 3.539
12.176 2.607 3.962
-2.583 9.012 2.009
Pd S O
4 8 28
Direct
0.368 0.350 0.168
0.368 0.150 0.668
0.632 0.650 0.832
0.632 0.850 0.332
0.773 0.313 0.581
0.773 0.187 0.081
0.227 0.687 0.419
0.227 0.813 0.919
0.869 0.523 0.195
0.869 0.977 0.695
0.131 0.477 0.805
0.131 0.023 0.305
0.738 0.254 0.701
0.738 0.246 0.201
0.262 0.746 0.299
0.262 0.754 0.799
0.045 0.288 0.576
0.045 0.212 0.076
0.955 0.712 0.424
0.955 0.788 0.924
0.686 0.485 0.261
0.686 0.015 0.761
0.314 0.515 0.739
0.314 0.985 0.239
0.728 0.610 0.085
0.728 0.890 0.585
0.272 0.390 0.915
0.272 0.110 0.415
0.980 0.444 0.132
0.980 0.056 0.632
0.020 0.556 0.868
0.020 0.944 0.368
0.180 0.566 0.355
0.180 0.934 0.855
0.820 0.434 0.645
0.820 0.066 0.145
0.492 0.322 0.425
0.492 0.178 0.925
0.508 0.678 0.575
0.508 0.822 0.075
```

---

SbPdO3 | PBE | relaxed

Output
The final energy comes out at -0.1959 hartree per atom. The calculation puts the formation energy at -0.912 eV per atom. The calculated volume is 64 Å³/cell. As for the energy with MP2020 corrections: -28.7 eV per cell.

```
SbPdO3
1.0
3.993 0.000 0.000
0.000 3.993 0.000
0.000 0.000 3.993
Sb Pd O
1 1 3
Direct
0.500 0.500 0.500
0.000 0.000 0.000
0.500 0.500 0.000
0.500 0.000 0.500
0.000 0.500 0.500
```

---

PdSeO3 | PBE | relaxed

Output
The final energy comes out at -0.1953 hartree per atom. The calculation puts the formation energy at -1.023 eV per atom. The calculated volume is 164 Å³/cell. As for the energy with MP2020 corrections: -57.3 eV per cell.

```
PdSeO3
1.0
-0.953 -3.330 -3.713
-0.578 -3.735 3.391
-6.943 -2.136 0.245
Pd Se O
2 2 6
Direct
0.000 0.500 0.500
0.500 0.000 0.500
0.667 0.667 0.156
0.333 0.333 0.844
0.435 0.044 0.780
0.044 0.435 0.780
0.611 0.611 0.635
0.565 0.956 0.220
0.389 0.389 0.365
0.956 0.565 0.220
```

---

PdSeO3 | PBE | relaxed

Output
The final energy comes out at -0.1957 hartree per atom. The calculation puts the formation energy at -1.033 eV per atom. The calculated volume is 165 Å³/cell. As for the energy with MP2020 corrections: -57.4 eV per cell.

```
PdSeO3
1.0
6.565 0.000 0.000
0.000 4.031 0.000
0.000 0.645 6.229
Pd Se O
2 2 6
Direct
0.000 0.500 0.500
0.500 0.500 0.500
0.750 0.054 0.178
0.250 0.946 0.822
0.041 0.201 0.782
0.750 0.220 0.443
0.959 0.799 0.218
0.541 0.799 0.218
0.250 0.780 0.557
0.459 0.201 0.782
```

---

PdSe2O5 | PBE | relaxed

Output
The final energy comes out at -0.1934 hartree per atom. The calculation puts the formation energy at -1.077 eV per atom. The calculated volume is 268 Å³/cell. As for the energy with MP2020 corrections: -91.1 eV per cell.

```
PdSe2O5
1.0
2.949 6.343 0.000
-2.949 6.343 0.000
0.000 2.178 7.165
Pd Se O
2 4 10
Direct
0.000 0.000 0.500
0.000 0.000 0.000
0.522 0.746 0.685
0.254 0.478 0.815
0.746 0.522 0.185
0.478 0.254 0.315
0.908 0.342 0.373
0.658 0.092 0.127
0.092 0.658 0.627
0.342 0.908 0.873
0.469 0.531 0.250
0.531 0.469 0.750
0.345 0.905 0.503
0.095 0.655 0.997
0.655 0.095 0.497
0.905 0.345 0.003
```

---

Sm4PdO7 | PBE | relaxed

Output
The final energy comes out at -0.2878 hartree per atom. The calculation puts the formation energy at -3.341 eV per atom. The calculated volume is 351 Å³/cell. As for the energy with MP2020 corrections: -197.6 eV per cell.

```
Sm4PdO7
1.0
-6.871 0.000 0.000
-0.761 -7.173 0.000
2.463 2.469 7.112
Sm Pd O
8 2 14
Direct
0.221 0.611 0.211
0.779 0.389 0.789
0.643 0.853 0.143
0.357 0.147 0.857
0.791 0.399 0.275
0.209 0.601 0.725
0.666 0.832 0.622
0.334 0.168 0.378
0.000 0.000 0.000
0.000 0.000 0.500
0.298 0.917 0.507
0.702 0.083 0.493
0.853 0.583 0.101
0.147 0.417 0.899
0.472 0.241 0.177
0.528 0.759 0.823
0.569 0.668 0.303
0.431 0.332 0.697
0.944 0.070 0.257
0.056 0.930 0.743
0.270 0.860 0.087
0.730 0.140 0.913
0.843 0.541 0.598
0.157 0.459 0.402
```

---

SrPdO3 | PBE | relaxed

Output
The final energy comes out at -0.2061 hartree per atom. The calculation puts the formation energy at -1.678 eV per atom. The calculated volume is 66 Å³/cell. As for the energy with MP2020 corrections: -30.1 eV per cell.

```
SrPdO3
1.0
4.039 0.000 0.000
0.000 4.039 0.000
0.000 0.000 4.039
Sr Pd O
1 1 3
Direct
0.000 0.000 0.000
0.500 0.500 0.500
0.500 0.500 0.000
0.500 0.000 0.500
0.000 0.500 0.500
```

---

TePdO3 | PBE | relaxed

Output
The final energy comes out at -0.1769 hartree per atom. The calculation puts the formation energy at -0.593 eV per atom. The calculated volume is 67 Å³/cell. As for the energy with MP2020 corrections: -26.1 eV per cell.

```
TePdO3
1.0
-0.081 3.553 1.974
-3.843 0.575 -1.194
-1.322 -1.890 3.348
Te Pd O
1 1 3
Direct
0.500 0.500 0.500
0.000 0.000 0.000
0.500 0.500 0.000
0.500 0.000 0.500
0.000 0.500 0.500
```

---

ThPdO3 | PBE | relaxed

Output
The final energy comes out at -0.2601 hartree per atom. The calculation puts the formation energy at -2.003 eV per atom. The calculated volume is 66 Å³/cell. As for the energy with MP2020 corrections: -37.5 eV per cell.

```
ThPdO3
1.0
-2.289 -3.080 1.280
3.250 -1.709 1.699
-0.753 1.990 3.441
Th Pd O
1 1 3
Direct
0.000 0.000 0.000
0.500 0.500 0.500
0.500 0.500 0.000
0.500 0.000 0.500
0.000 0.500 0.500
```

---

YPd2O4 | PBE | relaxed

Output
The final energy comes out at -0.2507 hartree per atom. The calculation puts the formation energy at -1.983 eV per atom. The calculated volume is 172 Å³/cell. As for the energy with MP2020 corrections: -101.0 eV per cell.

```
YPd2O4
1.0
-2.913 2.913 5.055
2.913 -2.913 5.055
2.913 2.913 -5.055
Y Pd O
2 4 8
Direct
0.750 0.250 0.500
0.000 0.000 0.000
0.375 0.625 0.250
0.875 0.625 0.250
0.375 0.125 0.750
0.375 0.625 0.750
0.992 0.960 0.347
0.710 0.863 0.468
0.395 0.242 0.532
0.613 0.645 0.653
0.758 0.290 0.153
0.040 0.387 0.032
0.137 0.605 0.847
0.355 0.008 0.968
```

---

PmTiO3 | PBE | relaxed

Output
The final energy comes out at -0.3141 hartree per atom. The calculation puts the formation energy at -3.460 eV per atom. The calculated volume is 60 Å³/cell. As for the energy with MP2020 corrections: -44.8 eV per cell.

```
PmTiO3
1.0
-2.610 2.837 -0.712
-2.688 -1.951 2.082
1.152 1.876 3.244
Pm Ti O
1 1 3
Direct
0.999 0.000 0.000
0.500 0.493 0.502
0.000 0.491 0.502
0.499 0.993 0.502
0.501 0.491 0.002
```